# HgI2O6

HgI2O6 after structural relaxation (GGA-PBE, the Materials Project database).

Output
energy of formation from the pure elements = -7.25 eV per formula unit
E_tot = -4.018 eV/atom
total energy after the MP2020 corrections = -80.6 eV for the cell shown

abc: 5.624 5.971 9.164
angles: 77.60 90.00 90.00
Fractional positions:
Hg  0.745  0.933  0.173
Hg  0.245  0.067  0.827
I  0.269  0.578  0.150
I  0.769  0.422  0.850
I  0.238  0.732  0.572
I  0.738  0.268  0.428
O  0.933  0.512  0.349
O  0.433  0.488  0.651
O  0.499  0.664  0.006
O  0.999  0.336  0.994
O  0.420  0.708  0.292
O  0.920  0.292  0.708
O  0.935  0.029  0.412
O  0.435  0.971  0.588
O  0.576  0.170  0.934
O  0.076  0.830  0.066
O  0.563  0.240  0.260
O  0.063  0.760  0.740

# Ba4ZrNb9O18

Ba4ZrNb9O18 after structural relaxation (GGA-PBE, the Materials Project database).

Output
energy of formation from the pure elements = -94.17 eV per formula unit
E_tot = -8.688 eV/atom
total energy after the MP2020 corrections = -290.4 eV for the cell shown

abc: 13.169 13.169 13.169
angles: 153.71 153.71 37.52
Fractional positions:
Ba  0.584  0.084  0.500
Ba  0.084  0.584  0.500
Ba  0.416  0.916  0.500
Ba  0.916  0.416  0.500
Zr  0.000  0.000  0.000
Nb  0.169  0.169  0.000
Nb  0.669  0.669  0.000
Nb  0.831  0.831  0.000
Nb  0.331  0.331  0.000
Nb  0.500  0.500  0.500
Nb  0.000  0.000  0.500
Nb  0.500  0.000  0.000
Nb  0.000  0.500  0.000
Nb  0.500  0.500  0.000
O  0.744  0.744  0.488
O  0.256  0.256  0.512
O  0.744  0.256  0.000
O  0.256  0.744  0.000
O  0.083  0.083  0.000
O  0.580  0.580  0.000
O  0.917  0.917  0.000
O  0.420  0.420  0.000
O  0.250  0.750  0.500
O  0.750  0.250  0.500
O  0.914  0.914  0.500
O  0.414  0.414  0.500
O  0.914  0.414  0.000
O  0.414  0.914  0.000
O  0.586  0.586  0.500
O  0.086  0.086  0.500
O  0.586  0.086  0.000
O  0.086  0.586  0.000

# Ni7Ge4

Ni7Ge4 after structural relaxation (GGA-PBE, the Materials Project database).

Output
energy of formation from the pure elements = -2.92 eV per formula unit
E_tot = -5.625 eV/atom
excess energy over the best structure of this formula in the dataset = 0.018 eV per atom

abc: 3.969 3.969 10.030
angles: 90.00 90.00 120.00
Fractional positions:
Ni  0.000  0.000  0.373
Ni  0.000  0.000  0.879
Ni  0.000  0.000  0.121
Ni  0.000  0.000  0.627
Ni  0.667  0.333  0.500
Ni  0.333  0.667  0.245
Ni  0.333  0.667  0.755
Ge  0.667  0.333  0.243
Ge  0.667  0.333  0.757
Ge  0.333  0.667  0.000
Ge  0.333  0.667  0.500

# La4GeO8

La4GeO8 after structural relaxation (GGA-PBE, the Materials Project database).

Output
energy of formation from the pure elements = -46.22 eV per formula unit
E_tot = -8.052 eV/atom
total energy after the MP2020 corrections = -440.7 eV for the cell shown

abc: 5.872 7.701 18.437
angles: 90.00 90.00 90.00
Fractional positions:
La  0.541  0.250  0.283
La  0.959  0.250  0.783
La  0.477  0.491  0.898
La  0.023  0.009  0.398
La  0.023  0.491  0.398
La  0.477  0.009  0.898
La  0.981  0.250  0.988
La  0.519  0.250  0.488
La  0.019  0.750  0.012
La  0.481  0.750  0.512
La  0.523  0.509  0.102
La  0.977  0.991  0.602
La  0.977  0.509  0.602
La  0.523  0.991  0.102
La  0.459  0.750  0.717
La  0.041  0.750  0.217
Ge  0.496  0.250  0.691
Ge  0.004  0.250  0.191
Ge  0.504  0.750  0.309
Ge  0.996  0.750  0.809
O  0.191  0.750  0.883
O  0.309  0.750  0.383
O  0.728  0.750  0.624
O  0.772  0.750  0.124
O  0.206  0.250  0.664
O  0.294  0.250  0.164
O  0.741  0.517  0.995
O  0.759  0.983  0.495
O  0.759  0.517  0.495
O  0.741  0.983  0.995
O  0.706  0.750  0.836
O  0.794  0.750  0.336
O  0.228  0.250  0.876
O  0.272  0.250  0.376
O  0.574  0.438  0.742
O  0.926  0.062  0.242
O  0.926  0.438  0.242
O  0.574  0.062  0.742
O  0.691  0.250  0.617
O  0.809  0.250  0.117
O  0.426  0.562  0.258
O  0.074  0.938  0.758
O  0.074  0.562  0.758
O  0.426  0.938  0.258
O  0.237  0.750  0.616
O  0.263  0.750  0.116
O  0.737  0.250  0.884
O  0.763  0.250  0.384
O  0.259  0.483  0.005
O  0.241  0.017  0.505
O  0.241  0.483  0.505
O  0.259  0.017  0.005

# Mg16Al12Sn

Mg16Al12Sn after structural relaxation (GGA-PBE, the Materials Project database).

Output
energy of formation from the pure elements = -0.26 eV per formula unit
E_tot = -2.580 eV/atom
excess energy over the best structure of this formula in the dataset = 0.015 eV per atom

abc: 9.140 9.140 9.140
angles: 109.47 109.47 109.47
Fractional positions:
Mg  0.315  0.600  0.000
Mg  0.600  0.315  0.000
Mg  0.346  0.000  0.000
Mg  0.000  0.346  0.000
Mg  0.400  0.400  0.715
Mg  0.285  0.685  0.685
Mg  0.685  0.285  0.685
Mg  0.654  0.654  0.654
Mg  0.315  0.000  0.600
Mg  0.000  0.315  0.600
Mg  0.715  0.400  0.400
Mg  0.400  0.715  0.400
Mg  0.000  0.000  0.346
Mg  0.000  0.600  0.315
Mg  0.600  0.000  0.315
Mg  0.685  0.685  0.285
Al  0.813  0.629  0.000
Al  0.629  0.813  0.000
Al  0.187  0.187  0.816
Al  0.000  0.629  0.813
Al  0.629  0.000  0.813
Al  0.000  0.813  0.629
Al  0.813  0.000  0.629
Al  0.184  0.371  0.371
Al  0.371  0.184  0.371
Al  0.187  0.816  0.187
Al  0.816  0.187  0.187
Al  0.371  0.371  0.184
Sn  0.000  0.000  0.000

# Zr2Si

Zr2Si after structural relaxation (GGA-PBE, the Materials Project database).

Output
energy of formation from the pure elements = -2.27 eV per formula unit
E_tot = -8.286 eV/atom
total energy after the MP2020 corrections = -49.6 eV for the cell shown

abc: 5.331 5.391 5.391
angles: 75.85 60.37 60.37
Fractional positions:
Zr  0.658  0.184  0.500
Zr  0.158  0.500  0.184
Zr  0.842  0.500  0.816
Zr  0.342  0.816  0.500
Si  0.750  0.000  0.000
Si  0.250  0.000  0.000

# Mg16Al12Te

Mg16Al12Te after structural relaxation (GGA-PBE, the Materials Project database).

Output
energy of formation from the pure elements = -0.16 eV per formula unit
E_tot = -2.532 eV/atom
excess energy over the best structure of this formula in the dataset = 0.023 eV per atom
total energy after the MP2020 corrections = -73.9 eV for the cell shown

abc: 9.180 9.180 9.180
angles: 109.47 109.47 109.47
Fractional positions:
Mg  0.717  0.313  0.313
Mg  0.336  0.336  0.336
Mg  0.664  0.000  0.000
Mg  0.283  0.596  0.596
Mg  0.000  0.687  0.404
Mg  0.596  0.596  0.283
Mg  0.404  0.000  0.687
Mg  0.000  0.000  0.664
Mg  0.313  0.717  0.313
Mg  0.687  0.404  0.000
Mg  0.687  0.000  0.404
Mg  0.313  0.313  0.717
Mg  0.000  0.664  0.000
Mg  0.404  0.687  0.000
Mg  0.596  0.283  0.596
Mg  0.000  0.404  0.687
Al  0.186  0.812  0.812
Al  0.814  0.626  0.626
Al  0.000  0.374  0.188
Al  0.626  0.814  0.626
Al  0.374  0.188  0.000
Al  0.188  0.374  0.000
Al  0.812  0.186  0.812
Al  0.188  0.000  0.374
Al  0.812  0.812  0.186
Al  0.374  0.000  0.188
Al  0.626  0.626  0.814
Al  0.000  0.188  0.374
Te  0.000  0.000  0.000

# CsPbCl3

CsPbCl3 after structural relaxation (GGA-PBE, the Materials Project database).

Output
energy of formation from the pure elements = -9.39 eV per formula unit
E_tot = -3.540 eV/atom
piezoelectric modulus e_max = 0.94 C/m2
total energy after the MP2020 corrections = -19.5 eV for the cell shown

abc: 5.732 5.732 5.732
angles: 89.42 89.42 89.42
Fractional positions:
Cs  0.500  0.500  0.500
Pb  0.000  0.000  0.000
Cl  0.967  0.500  0.033
Cl  0.500  0.033  0.967
Cl  0.033  0.967  0.500